[1]
Compound: Na3MgTiP3O12
Source: Materials Project
Functional: GGA-PBE
Structure: optimized geometry

Cell: 15.340 8.885 8.832 Å, 90.00 124.89 90.00°
Positions (direct):
Na 0.252 0.723 0.990
Na 0.752 0.777 0.490
Na 0.752 0.223 0.990
Na 0.252 0.277 0.490
Na 0.501 0.113 0.745
Na 0.501 0.887 0.245
Na 0.001 0.613 0.745
Na 0.001 0.387 0.245
Na 0.185 0.941 0.282
Na 0.185 0.059 0.782
Na 0.685 0.441 0.282
Na 0.685 0.559 0.782
Mg 0.103 0.749 0.561
Mg 0.103 0.251 0.061
Mg 0.603 0.249 0.561
Mg 0.603 0.751 0.061
Ti 0.895 0.758 0.944
Ti 0.895 0.242 0.444
Ti 0.395 0.258 0.944
Ti 0.395 0.742 0.444
P 0.999 0.957 0.762
P 0.999 0.043 0.262
P 0.499 0.457 0.762
P 0.499 0.543 0.262
P 0.355 0.899 0.760
P 0.645 0.890 0.746
P 0.645 0.110 0.246
P 0.355 0.101 0.260
P 0.855 0.399 0.760
P 0.145 0.390 0.746
P 0.145 0.610 0.246
P 0.855 0.601 0.260
O 0.152 0.560 0.738
O 0.849 0.577 0.754
O 0.849 0.423 0.254
O 0.152 0.440 0.238
O 0.652 0.060 0.738
O 0.349 0.077 0.754
O 0.349 0.923 0.254
O 0.652 0.940 0.238
O 0.438 0.569 0.590
O 0.566 0.548 0.937
O 0.566 0.452 0.437
O 0.438 0.431 0.090
O 0.938 0.069 0.590
O 0.066 0.048 0.937
O 0.066 0.952 0.437
O 0.938 0.931 0.090
O 0.257 0.839 0.746
O 0.739 0.809 0.754
O 0.739 0.191 0.254
O 0.257 0.161 0.246
O 0.757 0.339 0.746
O 0.239 0.309 0.754
O 0.239 0.691 0.254
O 0.757 0.661 0.246
O 0.355 0.857 0.584
O 0.646 0.841 0.911
O 0.646 0.159 0.411
O 0.355 0.143 0.084
O 0.855 0.357 0.584
O 0.146 0.341 0.911
O 0.146 0.659 0.411
O 0.855 0.643 0.084
O 0.457 0.848 0.935
O 0.539 0.827 0.564
O 0.539 0.173 0.064
O 0.457 0.152 0.435
O 0.957 0.348 0.935
O 0.039 0.327 0.564
O 0.039 0.673 0.064
O 0.957 0.652 0.435
O 0.072 0.852 0.743
O 0.912 0.859 0.755
O 0.912 0.141 0.255
O 0.072 0.148 0.243
O 0.572 0.352 0.743
O 0.412 0.359 0.755
O 0.412 0.641 0.255
O 0.572 0.648 0.243

Results
Total magnetization ... 0.00 μB/f.u.
Calculated total energy ... -6.91 eV/atom
ΔH_f (0 K) ... -2.864 eV per atom

=====

[2]
Compound: Na3MgTiP3O12
Source: Materials Project
Functional: GGA-PBE
Structure: optimized geometry

Cell: 8.869 8.874 21.905 Å, 90.00 90.15 120.02°
Positions (direct):
Na 0.987 0.972 0.496
Na 0.987 0.015 0.996
Na 0.667 0.336 0.829
Na 0.667 0.330 0.329
Na 0.329 0.663 0.163
Na 0.329 0.666 0.663
Na 0.369 0.362 0.247
Na 0.990 0.633 0.247
Na 0.990 0.357 0.747
Na 0.369 0.007 0.747
Na 0.307 0.342 0.581
Na 0.660 0.966 0.580
Na 0.307 0.965 0.081
Na 0.660 0.694 0.080
Na 0.975 0.677 0.914
Na 0.326 0.298 0.915
Na 0.975 0.298 0.414
Na 0.326 0.028 0.415
Mg 0.994 0.995 0.352
Mg 0.994 0.999 0.852
Mg 0.668 0.339 0.685
Mg 0.668 0.329 0.185
Mg 0.330 0.661 0.019
Mg 0.330 0.668 0.519
Ti 0.997 0.993 0.649
Ti 0.997 0.004 0.149
Ti 0.671 0.326 0.982
Ti 0.671 0.344 0.482
Ti 0.341 0.673 0.315
Ti 0.341 0.668 0.815
P 0.293 0.999 0.252
P 0.706 0.711 0.250
P 0.000 0.294 0.254
P 0.293 0.294 0.752
P 0.000 0.706 0.754
P 0.706 0.995 0.750
P 0.960 0.333 0.585
P 0.372 0.041 0.585
P 0.670 0.627 0.585
P 0.960 0.627 0.085
P 0.670 0.043 0.085
P 0.372 0.331 0.085
P 0.628 0.667 0.921
P 0.041 0.375 0.917
P 0.339 0.962 0.918
P 0.628 0.961 0.421
P 0.339 0.377 0.418
P 0.041 0.665 0.417
O 0.210 0.023 0.309
O 0.823 0.797 0.304
O 0.985 0.197 0.312
O 0.210 0.186 0.809
O 0.985 0.788 0.812
O 0.823 0.026 0.804
O 0.793 0.972 0.690
O 0.169 0.201 0.694
O 0.023 0.832 0.698
O 0.793 0.821 0.190
O 0.023 0.191 0.198
O 0.169 0.969 0.194
O 0.875 0.348 0.643
O 0.480 0.125 0.642
O 0.639 0.513 0.640
O 0.875 0.527 0.143
O 0.639 0.126 0.140
O 0.480 0.355 0.142
O 0.466 0.301 0.028
O 0.840 0.531 0.028
O 0.694 0.160 0.027
O 0.466 0.164 0.528
O 0.694 0.534 0.527
O 0.840 0.308 0.528
O 0.547 0.685 0.979
O 0.155 0.464 0.971
O 0.313 0.854 0.975
O 0.547 0.862 0.479
O 0.313 0.460 0.475
O 0.155 0.691 0.471
O 0.128 0.634 0.358
O 0.500 0.859 0.365
O 0.359 0.491 0.360
O 0.128 0.493 0.858
O 0.359 0.868 0.860
O 0.500 0.642 0.865
O 0.018 0.823 0.409
O 0.812 0.993 0.412
O 0.181 0.193 0.412
O 0.018 0.194 0.909
O 0.181 0.988 0.912
O 0.812 0.819 0.912
O 0.968 0.158 0.586
O 0.191 0.033 0.589
O 0.839 0.811 0.588
O 0.968 0.810 0.086
O 0.839 0.029 0.088
O 0.191 0.158 0.089
O 0.677 0.151 0.744
O 0.472 0.314 0.744
O 0.849 0.521 0.745
O 0.677 0.526 0.244
O 0.849 0.327 0.245
O 0.472 0.158 0.244
O 0.635 0.492 0.920
O 0.860 0.369 0.921
O 0.506 0.147 0.921
O 0.635 0.142 0.420
O 0.506 0.359 0.421
O 0.860 0.491 0.421
O 0.352 0.490 0.077
O 0.146 0.661 0.079
O 0.514 0.859 0.077
O 0.352 0.862 0.577
O 0.514 0.655 0.577
O 0.146 0.484 0.579
O 0.300 0.825 0.255
O 0.521 0.694 0.255
O 0.176 0.475 0.253
O 0.300 0.475 0.755
O 0.176 0.701 0.753
O 0.521 0.827 0.755

Results
Total magnetization ... 0.00 μB/f.u.
Symmetry ... Cc (9)
Calculated total energy ... -6.90 eV/atom
ΔH_f (0 K) ... -2.863 eV per atom

=====

[3]
Compound: Na7Y3MgP6O24
Source: Materials Project
Functional: GGA-PBE
Structure: optimized geometry

Cell: 9.296 9.283 22.987 Å, 89.71 90.03 120.07°
Positions (direct):
Na 0.637 0.010 0.244
Na 0.373 0.361 0.246
Na 0.988 0.628 0.243
Na 0.639 0.627 0.744
Na 0.987 0.360 0.746
Na 0.376 0.013 0.744
Na 0.027 0.697 0.586
Na 0.666 0.970 0.586
Na 0.306 0.972 0.087
Na 0.669 0.695 0.087
Na 0.695 0.029 0.920
Na 0.334 0.303 0.919
Na 0.970 0.293 0.410
Na 0.322 0.028 0.411
Na 0.710 0.680 0.410
Na 0.012 0.012 0.496
Na 0.000 0.999 0.002
Na 0.679 0.345 0.832
Na 0.667 0.333 0.325
Na 0.319 0.652 0.164
Na 0.334 0.653 0.664
Y 0.000 0.991 0.849
Y 0.009 0.009 0.649
Y 0.000 0.010 0.151
Y 0.681 0.343 0.986
Y 0.662 0.334 0.486
Y 0.320 0.657 0.019
Y 0.333 0.658 0.518
Y 0.334 0.668 0.317
Y 0.329 0.667 0.818
Mg 0.000 0.000 0.346
Mg 0.663 0.333 0.680
Mg 0.671 0.333 0.181
P 0.301 0.006 0.251
P 0.704 0.699 0.252
P 0.994 0.297 0.254
P 0.310 0.304 0.751
P 0.994 0.690 0.746
P 0.698 0.005 0.749
P 0.959 0.335 0.586
P 0.370 0.031 0.586
P 0.668 0.633 0.587
P 0.964 0.634 0.090
P 0.662 0.033 0.086
P 0.378 0.335 0.086
P 0.631 0.667 0.917
P 0.029 0.359 0.913
P 0.337 0.973 0.918
P 0.642 0.969 0.416
P 0.326 0.357 0.413
P 0.032 0.673 0.417
O 0.213 0.025 0.305
O 0.810 0.787 0.306
O 0.975 0.195 0.310
O 0.231 0.202 0.808
O 0.971 0.780 0.798
O 0.805 0.027 0.803
O 0.782 0.977 0.695
O 0.190 0.215 0.701
O 0.023 0.798 0.691
O 0.784 0.805 0.197
O 0.025 0.215 0.202
O 0.195 0.979 0.196
O 0.868 0.351 0.639
O 0.475 0.123 0.639
O 0.654 0.530 0.641
O 0.879 0.534 0.145
O 0.649 0.125 0.139
O 0.485 0.352 0.139
O 0.457 0.317 0.029
O 0.860 0.548 0.036
O 0.678 0.128 0.028
O 0.449 0.126 0.528
O 0.684 0.552 0.530
O 0.861 0.318 0.529
O 0.542 0.685 0.971
O 0.143 0.454 0.965
O 0.321 0.869 0.972
O 0.555 0.861 0.471
O 0.302 0.447 0.466
O 0.138 0.694 0.471
O 0.116 0.644 0.363
O 0.531 0.886 0.363
O 0.357 0.464 0.358
O 0.106 0.453 0.856
O 0.352 0.888 0.862
O 0.528 0.649 0.862
O 0.017 0.831 0.410
O 0.814 0.984 0.411
O 0.170 0.183 0.409
O 0.016 0.184 0.913
O 0.185 0.000 0.915
O 0.802 0.828 0.914
O 0.973 0.176 0.588
O 0.190 0.000 0.587
O 0.827 0.809 0.588
O 0.982 0.810 0.090
O 0.811 0.000 0.088
O 0.204 0.175 0.088
O 0.682 0.162 0.743
O 0.482 0.319 0.744
O 0.837 0.516 0.742
O 0.685 0.523 0.247
O 0.835 0.311 0.247
O 0.477 0.164 0.246
O 0.643 0.507 0.920
O 0.852 0.331 0.918
O 0.497 0.147 0.920
O 0.661 0.145 0.420
O 0.483 0.339 0.420
O 0.855 0.517 0.421
O 0.364 0.495 0.083
O 0.143 0.661 0.086
O 0.499 0.858 0.084
O 0.358 0.857 0.583
O 0.516 0.661 0.584
O 0.132 0.496 0.583
O 0.322 0.849 0.255
O 0.526 0.678 0.255
O 0.149 0.477 0.256
O 0.331 0.482 0.754
O 0.152 0.673 0.752
O 0.521 0.848 0.753

Results
Total magnetization ... 0.00 μB/f.u.
Symmetry ... P1 (1)
Calculated total energy ... -7.02 eV/atom
ΔH_f (0 K) ... -2.994 eV per atom

=====

[4]
Compound: Na4YMgP3O12
Source: Materials Project
Functional: GGA-PBE
Structure: optimized geometry

Cell: 9.252 9.252 22.645 Å, 90.00 90.00 120.00°
Positions (direct):
Na 0.638 0.009 0.248
Na 0.371 0.362 0.248
Na 0.991 0.629 0.248
Na 0.638 0.629 0.748
Na 0.991 0.362 0.748
Na 0.371 0.009 0.748
Na 0.305 0.342 0.581
Na 0.037 0.695 0.581
Na 0.658 0.963 0.581
Na 0.305 0.963 0.081
Na 0.658 0.695 0.081
Na 0.037 0.342 0.081
Na 0.971 0.675 0.915
Na 0.704 0.029 0.915
Na 0.325 0.296 0.915
Na 0.971 0.296 0.415
Na 0.325 0.029 0.415
Na 0.704 0.675 0.415
Na 0.000 0.000 0.495
Na 0.000 0.000 0.995
Na 0.667 0.333 0.828
Na 0.667 0.333 0.328
Na 0.333 0.667 0.161
Na 0.333 0.667 0.661
Y 0.000 0.000 0.652
Y 0.000 0.000 0.152
Y 0.667 0.333 0.985
Y 0.667 0.333 0.485
Y 0.333 0.667 0.319
Y 0.333 0.667 0.819
Mg 0.000 0.000 0.348
Mg 0.000 0.000 0.848
Mg 0.667 0.333 0.682
Mg 0.667 0.333 0.182
Mg 0.333 0.667 0.015
Mg 0.333 0.667 0.515
P 0.303 0.007 0.252
P 0.703 0.697 0.252
P 0.993 0.297 0.252
P 0.303 0.297 0.752
P 0.993 0.697 0.752
P 0.703 0.007 0.752
P 0.970 0.340 0.585
P 0.370 0.030 0.585
P 0.660 0.630 0.585
P 0.970 0.630 0.085
P 0.660 0.030 0.085
P 0.370 0.340 0.085
P 0.637 0.673 0.918
P 0.037 0.363 0.918
P 0.327 0.963 0.918
P 0.637 0.963 0.418
P 0.327 0.363 0.418
P 0.037 0.673 0.418
O 0.213 0.027 0.306
O 0.813 0.787 0.306
O 0.973 0.187 0.306
O 0.213 0.187 0.806
O 0.973 0.787 0.806
O 0.813 0.027 0.806
O 0.779 0.977 0.695
O 0.198 0.221 0.695
O 0.023 0.802 0.695
O 0.779 0.802 0.195
O 0.023 0.221 0.195
O 0.198 0.977 0.195
O 0.880 0.360 0.639
O 0.480 0.120 0.639
O 0.640 0.520 0.639
O 0.880 0.520 0.139
O 0.640 0.120 0.139
O 0.480 0.360 0.139
O 0.446 0.310 0.028
O 0.864 0.554 0.028
O 0.690 0.136 0.028
O 0.446 0.136 0.528
O 0.690 0.554 0.528
O 0.864 0.310 0.528
O 0.547 0.693 0.972
O 0.146 0.453 0.972
O 0.307 0.854 0.972
O 0.547 0.854 0.472
O 0.307 0.453 0.472
O 0.146 0.693 0.472
O 0.113 0.644 0.362
O 0.531 0.887 0.362
O 0.356 0.469 0.362
O 0.113 0.469 0.862
O 0.356 0.887 0.862
O 0.531 0.644 0.862
O 0.020 0.832 0.413
O 0.812 0.980 0.413
O 0.168 0.188 0.413
O 0.020 0.188 0.913
O 0.168 0.980 0.913
O 0.812 0.832 0.913
O 0.991 0.183 0.588
O 0.192 0.009 0.588
O 0.817 0.808 0.588
O 0.991 0.808 0.088
O 0.817 0.009 0.088
O 0.192 0.183 0.088
O 0.687 0.166 0.746
O 0.479 0.313 0.746
O 0.834 0.521 0.746
O 0.687 0.521 0.246
O 0.834 0.313 0.246
O 0.479 0.166 0.246
O 0.657 0.516 0.922
O 0.859 0.343 0.922
O 0.484 0.141 0.922
O 0.657 0.141 0.422
O 0.484 0.343 0.422
O 0.859 0.516 0.422
O 0.354 0.499 0.080
O 0.145 0.646 0.080
O 0.501 0.855 0.080
O 0.354 0.855 0.580
O 0.501 0.646 0.580
O 0.145 0.499 0.580
O 0.324 0.849 0.255
O 0.525 0.676 0.255
O 0.151 0.475 0.255
O 0.324 0.475 0.755
O 0.151 0.676 0.755
O 0.525 0.849 0.755

Results
Total magnetization ... 0.00 μB/f.u.
Calculated total energy ... -6.75 eV/atom
ΔH_f (0 K) ... -2.902 eV per atom